Record 1
# Fe5Bi4O13F PBE+U optimized geometry
data_Fe5Bi4O13F
_cell_length_a 8.437
_cell_length_b 8.437
_cell_length_c 18.437
_cell_angle_alpha 90.00
_cell_angle_beta 90.00
_cell_angle_gamma 90.00
_symmetry_space_group_name_H-M 'P 42 21 2'
_symmetry_Int_Tables_number 94
loop_
_symmetry_equiv_pos_as_xyz
'x,y,z'
'-y+1/2,x+1/2,z+1/2'
'-x,-y,z'
'y+1/2,-x+1/2,z+1/2'
'x+1/2,-y+1/2,-z+1/2'
'-y,-x,-z'
'-x+1/2,y+1/2,-z+1/2'
'y,x,-z'
loop_
_atom_site_label
_atom_site_type_symbol
_atom_site_fract_x
_atom_site_fract_y
_atom_site_fract_z
Fe1 Fe 0.000 0.000 0.000
Fe2 Fe 0.000 0.000 0.169
Fe3 Fe 0.000 0.000 0.330
Fe4 Fe 0.000 0.000 0.500
Fe5 Fe 0.150 0.336 0.250
Bi1 Bi 0.159 0.328 0.908
Bi2 Bi 0.160 0.327 0.593
O1 O 0.000 0.500 0.250
O2 O 0.080 0.860 0.584
O3 O 0.080 0.860 0.916
O4 O 0.091 0.865 0.750
O5 O 0.124 0.210 0.336
O6 O 0.126 0.209 0.163
O7 O 0.172 0.172 0.000
O8 O 0.172 0.172 0.500
F1 F 0.000 0.500 0.004
# - Uncorrected energy: -572.75 eV per cell
# - E (MP2020): -7.12 eV/atom
# - E_form: -1.727 eV/atom
# - Crystal system: tetragonal



Record 2
# LiMnO2 PBE+U optimized geometry
data_LiMnO2
_cell_length_a 5.941
_cell_length_b 5.947
_cell_length_c 8.521
_cell_angle_alpha 89.55
_cell_angle_beta 89.68
_cell_angle_gamma 88.88
_symmetry_space_group_name_H-M 'P 1'
_symmetry_Int_Tables_number 1
loop_
_symmetry_equiv_pos_as_xyz
'x,y,z'
loop_
_atom_site_label
_atom_site_type_symbol
_atom_site_fract_x
_atom_site_fract_y
_atom_site_fract_z
Li1 Li 0.000 0.000 0.000
Li2 Li 0.001 0.000 0.500
Li3 Li 0.250 0.752 0.244
Li4 Li 0.251 0.251 0.246
Li5 Li 0.504 0.502 0.501
Li6 Li 0.505 0.504 0.000
Li7 Li 0.753 0.754 0.751
Li8 Li 0.757 0.252 0.755
Mn1 Mn 0.001 0.502 0.001
Mn2 Mn 0.003 0.501 0.497
Mn3 Mn 0.255 0.750 0.750
Mn4 Mn 0.259 0.247 0.753
Mn5 Mn 0.503 0.002 0.000
Mn6 Mn 0.505 0.999 0.499
Mn7 Mn 0.747 0.754 0.250
Mn8 Mn 0.749 0.251 0.250
O1 O 0.010 0.472 0.757
O2 O 0.017 0.508 0.241
O3 O 0.043 0.006 0.751
O4 O 0.234 0.733 0.982
O5 O 0.266 0.238 0.982
O6 O 0.266 0.240 0.521
O7 O 0.268 0.766 0.516
O8 O 0.469 0.494 0.750
O9 O 0.480 0.999 0.230
O10 O 0.506 0.025 0.766
O11 O 0.538 0.508 0.251
O12 O 0.736 0.767 0.000
O13 O 0.737 0.236 0.485
O14 O 0.740 0.763 0.499
O15 O 0.771 0.271 0.015
O16 O 0.961 0.996 0.249
# - Uncorrected energy: -210.92 eV per cell
# - E (MP2020): -7.35 eV/atom
# - E_form: -2.110 eV/atom
# - Crystal system: triclinic



Record 3
# Mg6AlFeO8 PBE+U optimized geometry
data_Mg6AlFeO8
_cell_length_a 4.251
_cell_length_b 4.251
_cell_length_c 8.599
_cell_angle_alpha 90.00
_cell_angle_beta 90.00
_cell_angle_gamma 90.00
_symmetry_space_group_name_H-M 'P 4/m m m'
_symmetry_Int_Tables_number 123
_symmetry_space_group_name_Hall '-P 4 2'
loop_
_atom_site_label
_atom_site_type_symbol
_atom_site_fract_x
_atom_site_fract_y
_atom_site_fract_z
Mg1 Mg 0.000 0.000 0.000
Mg2 Mg 0.000 0.000 0.500
Mg3 Mg 0.000 0.500 0.242
Al1 Al 0.500 0.500 0.500
Fe1 Fe 0.500 0.500 0.000
O1 O 0.000 0.000 0.251
O2 O 0.000 0.500 0.000
O3 O 0.000 0.500 0.500
O4 O 0.500 0.500 0.289
# - Uncorrected energy: -97.18 eV per cell
# - Relative energy among the computed polymorphs: 0 meV/atom
# - E (MP2020): -6.56 eV/atom
# - E_form: -2.721 eV/atom
# - Crystal system: tetragonal



Record 4
# MgMn3Cd2O8 PBE+U optimized geometry
data_MgMn3Cd2O8
_cell_length_a 10.901
_cell_length_b 6.174
_cell_length_c 5.358
_cell_angle_alpha 90.00
_cell_angle_beta 91.48
_cell_angle_gamma 90.00
_symmetry_space_group_name_H-M 'C 1 m 1'
_symmetry_Int_Tables_number 8
loop_
_symmetry_equiv_pos_as_xyz
'x,y,z'
'x,-y,z'
'x+1/2,y+1/2,z'
'x+1/2,-y+1/2,z'
loop_
_atom_site_label
_atom_site_type_symbol
_atom_site_fract_x
_atom_site_fract_y
_atom_site_fract_z
Mg1 Mg 0.000 0.000 0.000
Mn1 Mn 0.285 0.249 0.134
Mn2 Mn 0.304 0.500 0.625
Cd1 Cd 0.022 0.500 0.602
Cd2 Cd 0.242 0.000 0.636
O1 O 0.176 0.000 0.021
O2 O 0.188 0.301 0.474
O3 O 0.210 0.500 0.943
O4 O 0.375 0.000 0.275
O5 O 0.388 0.500 0.295
O6 O 0.406 0.277 0.795
# - Uncorrected energy: -171.60 eV per cell
# - Relative energy among the computed polymorphs: 55 meV/atom
# - E (MP2020): -6.88 eV/atom
# - E_form: -1.842 eV/atom
# - Crystal system: monoclinic



Record 5
# Li9Mn2Co5O16 PBE+U optimized geometry
data_Li9Mn2Co5O16
_cell_length_a 5.786
_cell_length_b 5.866
_cell_length_c 9.777
_cell_angle_alpha 90.88
_cell_angle_beta 98.66
_cell_angle_gamma 119.55
_symmetry_space_group_name_H-M 'P 1'
_symmetry_Int_Tables_number 1
loop_
_symmetry_equiv_pos_as_xyz
'x,y,z'
loop_
_atom_site_label
_atom_site_type_symbol
_atom_site_fract_x
_atom_site_fract_y
_atom_site_fract_z
Li1 Li 0.000 0.000 0.000
Li2 Li 0.000 0.500 0.001
Li3 Li 0.498 0.750 0.489
Li4 Li 0.501 0.250 0.490
Li5 Li 0.501 0.497 0.997
Li6 Li 0.504 0.006 0.000
Li7 Li 0.749 0.375 0.245
Li8 Li 0.995 0.743 0.490
Li9 Li 0.996 0.254 0.493
Mn1 Mn 0.249 0.124 0.745
Mn2 Mn 0.749 0.874 0.245
Co1 Co 0.249 0.375 0.245
Co2 Co 0.249 0.875 0.245
Co3 Co 0.250 0.625 0.745
Co4 Co 0.749 0.125 0.746
Co5 Co 0.749 0.624 0.744
O1 O 0.105 0.030 0.361
O2 O 0.131 0.830 0.859
O3 O 0.134 0.309 0.862
O4 O 0.144 0.577 0.348
O5 O 0.356 0.172 0.144
O6 O 0.366 0.942 0.630
O7 O 0.367 0.417 0.629
O8 O 0.392 0.719 0.128
O9 O 0.608 0.041 0.357
O10 O 0.608 0.309 0.864
O11 O 0.609 0.571 0.353
O12 O 0.612 0.791 0.861
O13 O 0.885 0.455 0.626
O14 O 0.889 0.179 0.137
O15 O 0.892 0.708 0.135
O16 O 0.892 0.942 0.629
# - Uncorrected energy: -185.88 eV per cell
# - Relative energy among the computed polymorphs: 46 meV/atom
# - E (MP2020): -6.51 eV/atom
# - E_form: -1.818 eV/atom
# - Crystal system: triclinic



Record 6
# NaNdEuWO6 PBE+U optimized geometry
data_NaNdEuWO6
_cell_length_a 8.512
_cell_length_b 8.512
_cell_length_c 8.512
_cell_angle_alpha 90.00
_cell_angle_beta 90.00
_cell_angle_gamma 90.00
_symmetry_space_group_name_H-M 'F -4 3 m'
_symmetry_Int_Tables_number 216
_symmetry_space_group_name_Hall 'F -4 2 3'
loop_
_atom_site_label
_atom_site_type_symbol
_atom_site_fract_x
_atom_site_fract_y
_atom_site_fract_z
Na1 Na 0.000 0.000 0.000
Nd1 Nd 0.250 0.250 0.750
Eu1 Eu 0.000 0.000 0.500
W1 W 0.250 0.250 0.250
O1 O 0.021 0.250 0.250
# - Uncorrected energy: -312.74 eV per cell
# - Relative energy among the computed polymorphs: 0 meV/atom
# - E (MP2020): -8.67 eV/atom
# - E_form: -2.775 eV/atom
# - Crystal system: cubic



- What is the E (MP2020) in the first record?
  -7.12 eV/atom



Copy entry 6 word for word.
# NaNdEuWO6 PBE+U optimized geometry
data_NaNdEuWO6
_cell_length_a 8.512
_cell_length_b 8.512
_cell_length_c 8.512
_cell_angle_alpha 90.00
_cell_angle_beta 90.00
_cell_angle_gamma 90.00
_symmetry_space_group_name_H-M 'F -4 3 m'
_symmetry_Int_Tables_number 216
_symmetry_space_group_name_Hall 'F -4 2 3'
loop_
_atom_site_label
_atom_site_type_symbol
_atom_site_fract_x
_atom_site_fract_y
_atom_site_fract_z
Na1 Na 0.000 0.000 0.000
Nd1 Nd 0.250 0.250 0.750
Eu1 Eu 0.000 0.000 0.500
W1 W 0.250 0.250 0.250
O1 O 0.021 0.250 0.250
# - Uncorrected energy: -312.74 eV per cell
# - Relative energy among the computed polymorphs: 0 meV/atom
# - E (MP2020): -8.67 eV/atom
# - E_form: -2.775 eV/atom
# - Crystal system: cubic